This record from Materials Project describes crystalline LaZn4 at its relaxed geometry. The functional is GGA-PBE.

abc: 6.287 10.369 6.084
angles: 90.00 90.00 90.00
Space group Cmcm (No. 63)
Inequivalent atoms, fractional coordinates:
La1 0.000 0.233 0.250 (multiplicity 4)
Zn1 0.000 0.110 0.750 (multiplicity 4)
Zn2 0.000 0.351 0.750 (multiplicity 4)
Zn3 0.217 0.500 0.000 (multiplicity 8)

Properties
Crystal system: orthorhombic

This record from Materials Project describes crystalline LaZn3 at its relaxed geometry. The functional is GGA-PBE.

abc: 6.6277 6.6277 4.4636
angles: 90.00 90.00 120.00
Space group P6_3/mmc (No. 194)
Inequivalent atoms, fractional coordinates:
La1 0.3333 0.6667 0.2500 (multiplicity 2)
Zn1 0.1428 0.2856 0.7500 (multiplicity 6)

Properties
Crystal system: hexagonal

This record from Materials Project describes crystalline LaZn at its relaxed geometry. The functional is GGA-PBE.

abc: 3.760 3.760 3.760
angles: 90.00 90.00 90.00
Space group Pm-3m (No. 221)
Inequivalent atoms, fractional coordinates:
La1 0.000 0.000 0.000 (multiplicity 1)
Zn1 0.500 0.500 0.500 (multiplicity 1)

Properties
Crystal system: cubic

This record from Materials Project describes crystalline LaZn13 at its relaxed geometry. The functional is GGA-PBE.

abc: 12.229 12.229 12.229
angles: 90.00 90.00 90.00
Space group Fm-3c (No. 226)
Inequivalent atoms, fractional coordinates:
La1 0.250 0.250 0.250 (multiplicity 8)
Zn1 0.000 0.000 0.000 (multiplicity 8)
Zn2 0.000 0.121 0.179 (multiplicity 96)

Properties
Crystal system: cubic

This record from Materials Project describes crystalline LaZn2 at its relaxed geometry. The functional is GGA-PBE.

abc: 4.702 7.627 7.585
angles: 90.00 90.00 90.00
Space group Imma (No. 74)
Inequivalent atoms, fractional coordinates:
La1 0.000 0.250 0.043 (multiplicity 4)
Zn1 0.000 0.062 0.665 (multiplicity 8)

Properties
Crystal system: orthorhombic

This record from Materials Project describes crystalline La2Zn17 at its relaxed geometry. The functional is GGA-PBE.

abc: 9.1303 9.1303 13.4036
angles: 90.00 90.00 120.00
Space group R-3m (No. 166, hexagonal axes)
Inequivalent atoms, fractional coordinates:
La1 0.0000 0.0000 0.1635 (multiplicity 6)
Zn1 0.0000 0.0000 0.4016 (multiplicity 6)
Zn2 0.0000 0.2905 0.5000 (multiplicity 18)
Zn3 0.0000 0.5000 0.0000 (multiplicity 9)
Zn4 0.0059 0.5029 0.6544 (multiplicity 18)

Properties
Crystal system: trigonal

This record from Materials Project describes crystalline La3Zr at its relaxed geometry. The functional is GGA-PBE.

abc: 5.062 5.062 5.062
angles: 90.00 90.00 90.00
Space group Pm-3m (No. 221)
Inequivalent atoms, fractional coordinates:
La1 0.000 0.000 0.500 (multiplicity 3)
Zr1 0.500 0.500 0.500 (multiplicity 1)

Properties
Crystal system: cubic

This record from Materials Project describes crystalline La3Zr at its relaxed geometry. The functional is GGA-PBE.

abc: 7.2038 7.2038 5.8770
angles: 90.00 90.00 120.00
Space group P6_3/mmc (No. 194)
Inequivalent atoms, fractional coordinates:
La1 0.1725 0.3450 0.2500 (multiplicity 6)
Zr1 0.3333 0.6667 0.7500 (multiplicity 2)

Properties
Crystal system: hexagonal
Total moment (μB/f.u.): 0.27

This record from Materials Project describes crystalline Li at its relaxed geometry. The functional is GGA-PBE.

abc: 4.458 4.458 4.458
angles: 90.00 90.00 90.00
Space group P4_132 (No. 213)
Inequivalent atoms, fractional coordinates:
Li1 0.125 0.375 0.625 (multiplicity 4)

Properties
Crystal system: cubic
ΔE to the lowest computed polymorph (eV/atom): 0.262
Total moment (μB/f.u.): 0.00

This record from Materials Project describes crystalline Li at its relaxed geometry. The functional is GGA-PBE.

abc: 4.320 4.320 4.320
angles: 90.00 90.00 90.00
Space group Fm-3m (No. 225)
Inequivalent atoms, fractional coordinates:
Li1 0.000 0.000 0.000 (multiplicity 4)

Properties
Crystal system: cubic
ΔE to the lowest computed polymorph (eV/atom): 0.003

This record from Materials Project describes crystalline Li at its relaxed geometry. The functional is GGA-PBE.

abc: 4.9053 4.9053 2.8892
angles: 90.00 90.00 120.00
Space group P6/mmm (No. 191)
Inequivalent atoms, fractional coordinates:
Li1 0.0000 0.0000 0.0000 (multiplicity 1)
Li2 0.3333 0.6667 0.5000 (multiplicity 2)

Properties
Crystal system: hexagonal
ΔE to the lowest computed polymorph (eV/atom): 0.019

This record from Materials Project describes crystalline Li at its relaxed geometry. The functional is GGA-PBE.

abc: 3.0775 3.0775 4.9229
angles: 90.00 90.00 120.00
Space group P6_3/mmc (No. 194)
Inequivalent atoms, fractional coordinates:
Li1 0.3333 0.6667 0.2500 (multiplicity 2)

Properties
Crystal system: hexagonal
ΔE to the lowest computed polymorph (eV/atom): 0.003

This record from Materials Project describes crystalline Li at its relaxed geometry. The functional is GGA-PBE.

abc: 3.427 3.427 3.427
angles: 90.00 90.00 90.00
Space group Im-3m (No. 229)
Inequivalent atoms, fractional coordinates:
Li1 0.000 0.000 0.000 (multiplicity 2)

Properties
Crystal system: cubic
ΔE to the lowest computed polymorph (eV/atom): 0.005

This record from Materials Project describes crystalline Li at its relaxed geometry. The functional is GGA-PBE.

abc: 3.0638 3.0638 22.2662
angles: 90.00 90.00 120.00
Space group R-3m (No. 166, hexagonal axes)
Inequivalent atoms, fractional coordinates:
Li1 0.0000 0.0000 0.0000 (multiplicity 3)
Li2 0.0000 0.0000 0.2221 (multiplicity 6)

Properties
Crystal system: trigonal
ΔE to the lowest computed polymorph (eV/atom): 0.000

This record from Materials Project describes crystalline Li at its relaxed geometry. The functional is GGA-PBE.

abc: 3.0711 3.0711 9.8254
angles: 90.00 90.00 120.00
Space group P6_3/mmc (No. 194)
Inequivalent atoms, fractional coordinates:
Li1 0.0000 0.0000 0.0000 (multiplicity 2)
Li2 0.3333 0.6667 0.2500 (multiplicity 2)

Properties
Crystal system: hexagonal
ΔE to the lowest computed polymorph (eV/atom): 0.003

This record from Materials Project describes crystalline Li at its relaxed geometry. The functional is GGA-PBE.

abc: 6.861 6.861 6.861
angles: 90.00 90.00 90.00
Space group I-43d (No. 220)
Inequivalent atoms, fractional coordinates:
Li1 0.006 0.494 0.506 (multiplicity 16)

Properties
Crystal system: cubic
ΔE to the lowest computed polymorph (eV/atom): 0.011

This record from Materials Project describes crystalline Li at its relaxed geometry. The functional is GGA-PBE.

abc: 16.093 5.575 5.407
angles: 90.00 90.00 90.00
Space group Cmce (No. 64)
Inequivalent atoms, fractional coordinates:
Li1 0.000 0.244 0.098 (multiplicity 8)
Li2 0.164 0.118 0.754 (multiplicity 16)

Properties
Crystal system: orthorhombic
ΔE to the lowest computed polymorph (eV/atom): 0.055
Total moment (μB/f.u.): 0.00

This record from Materials Project describes crystalline LiLu3 at its relaxed geometry. The functional is GGA-PBE.

abc: 6.8393 6.8393 5.4138
angles: 90.00 90.00 120.00
Space group P6_3/mmc (No. 194)
Inequivalent atoms, fractional coordinates:
Li1 0.3333 0.6667 0.2500 (multiplicity 2)
Lu1 0.1679 0.3357 0.7500 (multiplicity 6)

Properties
Crystal system: hexagonal
Total moment (μB/f.u.): 0.00

This record from Materials Project describes crystalline Li3Lu at its relaxed geometry. The functional is GGA-PBE.

abc: 6.4162 6.4162 5.0036
angles: 90.00 90.00 120.00
Space group P6_3/mmc (No. 194)
Inequivalent atoms, fractional coordinates:
Li1 0.1530 0.3060 0.2500 (multiplicity 6)
Lu1 0.3333 0.6667 0.7500 (multiplicity 2)

Properties
Crystal system: hexagonal
Total moment (μB/f.u.): 0.00

This record from Materials Project describes crystalline LiLuO2 at its relaxed geometry. The functional is GGA-PBE.

abc: 4.354 4.354 10.097
angles: 90.00 90.00 90.00
Space group I4_1/amd (No. 141, origin choice 2)
Inequivalent atoms, fractional coordinates:
Li1 0.000 0.250 0.375 (multiplicity 4)
Lu1 0.000 0.250 0.875 (multiplicity 4)
O1 0.000 0.250 0.098 (multiplicity 8)

Properties
Crystal system: tetragonal
Corrected total energy (MP2020 scheme) (eV per cell): -119.5

no.,mass density (g cm⁻³),DFT total energy (eV/atom)
1,6.71,-2.34
2,6.55,-2.48
3,6.38,-3.41
4,7.19,-1.73
5,6.59,-2.86
6,7.15,-1.92
7,6.50,-5.69
8,6.39,-5.68
9,0.52,-1.65
10,0.57,-1.91
11,0.57,-1.89
12,0.57,-1.91
13,0.57,-1.90
14,0.57,-1.91
15,0.57,-1.91
16,0.57,-1.90
17,0.57,-1.85
18,8.05,-3.69
19,3.65,-2.35
20,7.42,-7.12